(1)
Computed, not measured: a relaxed SbO2F6 crystal at the GGA-PBE level of DFT.

Summary:
The formation energy is -1.461 eV/atom. The value obtained for the total magnetization is 0.556 μB per atom. As for the density: 3.40 g cm⁻³. Its total energy is -138.08 eV per cell.

extended XYZ file:
```
36
Lattice="-5.0763 5.0763 5.0763 5.0763 -5.0763 5.0763 5.0763 5.0763 -5.0763" Properties=species:S:1:pos:R:3 pbc="T T T"
Sb 0.0000 0.0000 0.0000
Sb 5.0763 0.0000 0.0000
Sb 0.0000 5.0763 0.0000
Sb 0.0000 0.0000 5.0763
O 3.1430 1.9333 -1.9333
O 7.0095 -1.9333 1.9333
O 1.9333 -1.9333 3.1430
O 1.9333 1.9333 1.9333
O -1.9333 3.1430 1.9333
O 1.9333 7.0095 -1.9333
O 3.1430 3.1430 3.1430
O -1.9333 1.9333 7.0095
F 4.4456 -1.1440 1.4161
F 1.4161 -0.6307 1.1440
F 1.1440 1.4161 -0.6307
F 6.4923 0.6307 1.1440
F 3.9323 1.4161 0.6307
F 4.4456 3.9323 -1.4161
F -0.6307 1.1440 1.4161
F 3.9323 -1.4161 4.4456
F 1.4161 4.4456 -1.1440
F 6.2203 3.6602 0.6307
F 1.4161 0.6307 3.9323
F 4.4456 1.1440 3.6602
F 0.6307 3.9323 1.4161
F 3.6602 4.4456 1.1440
F -1.1440 1.4161 4.4456
F 3.6602 0.6307 6.2203
F 1.1440 6.4923 0.6307
F 5.7070 3.9323 3.6602
F 0.6307 1.1440 6.4923
F 1.1440 3.6602 4.4456
F -1.4161 4.4456 3.9323
F 3.9323 3.6602 5.7070
F 3.6602 5.7070 3.9323
F 0.6307 6.2203 3.6602
```

---

(2)
Computed, not measured: a relaxed Mg14VSb crystal at the GGA-PBE level of DFT.

Summary:
The formation energy is 0.026 eV/atom. The value obtained for the total magnetization is 0.226 μB per atom. As for the density: 2.40 g cm⁻³. Its total energy is -35.00 eV per cell.

extended XYZ file:
```
16
Lattice="10.3098 0.0000 0.0000 0.0000 3.1295 5.5015 0.0000 -3.1295 5.5015" Properties=species:S:1:pos:R:3 pbc="T T T"
Mg 0.0000 0.0000 0.0014
Mg 0.0000 -1.5632 2.7525
Mg 0.0000 1.5632 2.7525
Mg 0.0000 0.0000 5.5015
Mg 2.5576 0.0000 1.8430
Mg 2.5900 -1.5383 4.5902
Mg 2.5900 1.5383 4.5902
Mg 2.5936 0.0000 7.3106
Mg 5.1549 -1.5568 8.2463
Mg 5.1549 1.5568 8.2463
Mg 7.7162 0.0000 7.3106
Mg 7.7199 -1.5383 4.5902
Mg 7.7199 1.5383 4.5902
Mg 7.7523 0.0000 1.8430
V 5.1549 0.0000 5.5026
Sb 5.1549 0.0000 0.0145
```

---

(3)
Computed, not measured: a relaxed AgPt3 crystal at the GGA-PBE level of DFT.

Summary:
The formation energy is 0.035 eV/atom. The value obtained for the total magnetization is 0.003 μB per atom. As for the density: 17.89 g cm⁻³. Its total energy is -20.91 eV per cell.

extended XYZ file:
```
4
Lattice="4.0068 0.0000 0.0000 0.0000 4.0068 0.0000 0.0000 0.0000 4.0068" Properties=species:S:1:pos:R:3 pbc="T T T"
Ag 0.0000 0.0000 0.0000
Pt 0.0000 2.0034 2.0034
Pt 2.0034 0.0000 2.0034
Pt 2.0034 2.0034 0.0000
```

---

(4)
Computed, not measured: a relaxed Ba3CaTi3O8 crystal at the GGA-PBE level of DFT.

Summary:
The formation energy is -2.820 eV/atom. The value obtained for the total magnetization is 0.057 μB per atom. As for the density: 5.29 g cm⁻³. Its total energy is -107.83 eV per cell.

extended XYZ file:
```
15
Lattice="5.8474 0.0000 0.0000 2.7966 5.2402 0.0000 0.2635 0.0341 7.4104" Properties=species:S:1:pos:R:3 pbc="T T T"
Ba 0.0000 0.0000 0.0000
Ba 2.4247 2.5394 3.9587
Ba 5.5353 3.8886 1.9758
Ca 4.2692 1.2876 5.6842
Ti 2.5819 1.9779 0.6728
Ti 5.6613 3.9106 5.6788
Ti 5.6914 0.5618 3.2845
O 1.2123 1.2693 1.9791
O 4.0041 4.8672 4.4013
O 4.3256 3.0314 6.9948
O 2.8900 0.2804 7.0382
O 4.1347 1.2720 1.9781
O 5.6479 2.2934 4.3289
O 7.0094 4.7841 4.3720
O 7.3346 2.9443 6.9697
```